First-principles (GGA-PBE) data for a geometry-optimized Ba2CuS2O2 structure, as listed in the Materials Project database.

Geometry as POSCAR:
```
Ba2CuS2O2
1.0
-3.3677 -2.2790 0.8435
2.3506 -2.6895 2.1184
-1.2623 4.4968 7.1099
Ba Cu S O
2 1 2 2
direct
0.5000 0.5000 0.7190
0.5000 0.5000 0.2810
0.0000 0.0000 0.5000
0.0000 0.0000 0.8764
0.0000 0.0000 0.1236
0.0000 0.5000 0.5000
0.5000 0.0000 0.5000
```

Values from the calculation:
As for the symmetry: P4/mmm (123). The calculation puts the calculated formation energy at -1848 meV/atom. The volume comes out at 146.71 Å³ per cell. Its magnetic moment is 0.00 μB per atom. The value obtained for the total energy is -5.238 eV/atom.

First-principles (GGA-PBE) data for a geometry-optimized Si2N3 structure, as listed in the Materials Project database.

Geometry as POSCAR:
```
Si2N3
1.0
0.0000 0.0000 -4.9468
-2.7666 -4.6195 0.0000
-2.7666 4.6195 0.0000
Si N
4 6
direct
0.5063 0.0238 0.6693
0.5063 0.6693 0.0238
0.0063 0.9762 0.3307
0.0063 0.3307 0.9762
0.1664 0.1038 0.6576
0.1664 0.6576 0.1038
0.6664 0.8962 0.3424
0.6664 0.3424 0.8962
0.0246 0.2227 0.2227
0.5246 0.7773 0.7773
```

Values from the calculation:
As for the symmetry: Cmc2_1 (36). The calculation puts the calculated formation energy at -857 meV/atom. The volume comes out at 126.45 Å³ per cell. Its magnetic moment is 0.20 μB per atom. The value obtained for the total energy is -7.813 eV/atom.

First-principles (GGA-PBE) data for a geometry-optimized Mo2N structure, as listed in the Materials Project database.

Geometry as POSCAR:
```
Mo2N
1.0
-2.1314 2.1314 4.0438
2.1314 -2.1314 4.0438
2.1314 2.1314 -4.0438
Mo N
4 2
direct
0.9898 0.4898 0.5000
0.2398 0.2398 0.0000
0.5102 0.0102 0.5000
0.7602 0.7602 0.0000
0.2500 0.7500 0.5000
0.5000 0.5000 0.0000
```

Values from the calculation:
As for the symmetry: I4_1/amd (141). The calculation puts the calculated formation energy at -361 meV/atom. The volume comes out at 73.48 Å³ per cell. The value obtained for the total energy is -10.250 eV/atom.

First-principles (GGA-PBE) data for a geometry-optimized PaPd3 structure, as listed in the Materials Project database.

Geometry as POSCAR:
```
PaPd3
1.0
-3.7895 0.8404 4.2150
-1.5354 -2.9010 -4.6967
1.4768 -4.3285 2.1907
Pa Pd
2 6
direct
0.6667 0.3333 0.2500
0.3333 0.6667 0.7500
0.8355 0.1645 0.7500
0.3291 0.1645 0.7500
0.8355 0.6709 0.7500
0.1645 0.8355 0.2500
0.6709 0.8355 0.2500
0.1645 0.3291 0.2500
```

Values from the calculation:
As for the symmetry: P6_3/mmc (194). The calculation puts the calculated formation energy at -774 meV/atom. The volume comes out at 144.19 Å³ per cell. The value obtained for the total energy is -7.037 eV/atom.

First-principles (GGA-PBE) data for a geometry-optimized Mg5Si9 structure, as listed in the Materials Project database.

Geometry as POSCAR:
```
Mg5Si9
1.0
-4.1894 -3.8541 -0.8065
2.4619 -5.0618 -4.5510
2.5483 -8.4965 9.0507
Mg Si
10 18
direct
0.0825 0.9399 0.7085
0.1440 0.9951 0.4539
0.9822 0.6380 0.5566
0.9194 0.4372 0.3770
0.4708 0.6263 0.5710
0.4853 0.2503 0.4345
0.1345 0.0973 0.0682
0.4763 0.1350 0.8346
0.6223 0.6074 0.0136
0.9402 0.2586 0.8716
0.6613 0.3630 0.2137
0.2074 0.4736 0.9738
0.6779 0.8417 0.4043
0.2147 0.2802 0.6515
0.3206 0.1960 0.2367
0.6954 0.7564 0.7793
0.2606 0.7442 0.2033
0.6028 0.4624 0.7567
0.6414 0.8682 0.1721
0.5828 0.9813 0.6088
0.2287 0.8342 0.9090
0.5708 0.2439 0.0500
0.9259 0.0425 0.2790
0.1543 0.5544 0.7737
0.7845 0.9273 0.9738
0.0031 0.5467 0.1619
0.8258 0.2721 0.5935
0.3846 0.6268 0.3692
```

Values from the calculation:
As for the symmetry: P1 (1). The calculation puts the calculated formation energy at 236 meV/atom. The volume comes out at 490.96 Å³ per cell. Its magnetic moment is 0.00 μB per atom. The value obtained for the total energy is -3.869 eV/atom.

First-principles (GGA-PBE) data for a geometry-optimized Eu3OsO7 structure, as listed in the Materials Project database.

Geometry as POSCAR:
```
Eu3OsO7
1.0
-3.8023 4.2527 -3.3875
0.4239 -5.7834 -3.2235
-6.0827 -2.5011 3.6876
Eu Os O
6 2 14
direct
0.0000 0.0000 0.0000
0.0000 0.0000 0.5000
0.0459 0.5148 0.2500
0.9541 0.4852 0.7500
0.4852 0.9541 0.7500
0.5148 0.0459 0.2500
0.5000 0.5000 0.0000
0.5000 0.5000 0.5000
0.4495 0.4495 0.2500
0.5505 0.5505 0.7500
0.8827 0.1497 0.2500
0.1173 0.8503 0.7500
0.8503 0.1173 0.7500
0.1497 0.8827 0.2500
0.1957 0.4441 0.9722
0.8043 0.5559 0.4722
0.5559 0.8043 0.0278
0.4441 0.1957 0.5278
0.8043 0.5559 0.0278
0.1957 0.4441 0.5278
0.4441 0.1957 0.9722
0.5559 0.8043 0.4722
```

Values from the calculation:
As for the symmetry: Cmcm (63). The calculation puts the calculated formation energy at -2737 meV/atom. The volume comes out at 311.24 Å³ per cell. The value obtained for the total energy is -9.267 eV/atom.

First-principles (GGA-PBE) data for a geometry-optimized HoAs structure, as listed in the Materials Project database.

Geometry as POSCAR:
```
HoAs
1.0
-3.2119 -0.4094 1.4819
1.4784 -1.7640 2.7171
0.4217 3.0661 1.7611
Ho As
1 1
direct
0.0000 0.0000 0.0000
0.5000 0.5000 0.5000
```

Values from the calculation:
As for the symmetry: Pm-3m (221). The calculation puts the calculated formation energy at -1037 meV/atom. The volume comes out at 45.15 Å³ per cell. Its magnetic moment is 0.00 μB per atom. The value obtained for the total energy is -5.657 eV/atom.

First-principles (GGA-PBE) data for a geometry-optimized Zn4Te3O structure, as listed in the Materials Project database.

Geometry as POSCAR:
```
Zn4Te3O
1.0
-2.9482 -2.9482 0.0000
0.0000 2.9482 -2.9482
8.7275 -8.7275 -5.7793
Zn Te O
4 3 1
direct
0.9887 0.9773 0.9660
0.7462 0.4924 0.2386
0.5043 0.0085 0.5128
0.2634 0.5267 0.7901
0.0543 0.1085 0.1628
0.8119 0.6238 0.4357
0.5697 0.1393 0.7090
0.3117 0.6234 0.9350
```

Values from the calculation:
As for the symmetry: R3m (160). The calculation puts the calculated formation energy at -566 meV/atom. The volume comes out at 201.95 Å³ per cell. Its magnetic moment is 0.00 μB per atom. The value obtained for the total energy is -2.907 eV/atom.

First-principles (GGA-PBE) data for a geometry-optimized Lu2InPd2 structure, as listed in the Materials Project database.

Geometry as POSCAR:
```
Lu2InPd2
1.0
-6.2488 -4.2851 1.0760
3.9130 -6.2331 -2.0988
0.9738 -0.5522 3.4556
Lu In Pd
4 2 4
direct
0.3285 0.8285 0.5000
0.8285 0.6715 0.5000
0.1715 0.3285 0.5000
0.6715 0.1715 0.5000
0.0000 0.0000 0.0000
0.5000 0.5000 0.0000
0.3710 0.1290 0.0000
0.8710 0.3710 0.0000
0.1290 0.6290 0.0000
0.6290 0.8710 0.0000
```

Values from the calculation:
As for the symmetry: P4/mbm (127). The calculation puts the calculated formation energy at -889 meV/atom. The volume comes out at 212.74 Å³ per cell. The value obtained for the total energy is -5.319 eV/atom.

First-principles (GGA-PBE) data for a geometry-optimized Ti3ZnN structure, as listed in the Materials Project database.

Geometry as POSCAR:
```
Ti3ZnN
1.0
1.5400 -5.3574 0.0000
1.5400 5.3574 0.0000
0.0000 0.0000 8.3446
Ti Zn N
6 2 2
direct
0.6244 0.3756 0.5419
0.3756 0.6244 0.0419
0.3756 0.6244 0.4581
0.6244 0.3756 0.9581
0.9621 0.0379 0.7500
0.0379 0.9621 0.2500
0.2544 0.7456 0.7500
0.7456 0.2544 0.2500
0.0000 0.0000 0.5000
0.0000 0.0000 0.0000
```

Values from the calculation:
As for the symmetry: Cmcm (63). The calculation puts the calculated formation energy at -972 meV/atom. The volume comes out at 137.70 Å³ per cell. The value obtained for the total energy is -7.556 eV/atom.

First-principles (GGA-PBE) data for a geometry-optimized LiAgF2 structure, as listed in the Materials Project database.

Geometry as POSCAR:
```
LiAgF2
1.0
-2.5812 2.5812 4.2598
2.5812 -2.5812 4.2598
2.5812 2.5812 -4.2598
Li Ag F
2 2 4
direct
0.0000 0.0000 0.0000
0.7500 0.2500 0.5000
0.5000 0.5000 0.0000
0.2500 0.7500 0.5000
0.0445 0.1250 0.4195
0.8750 0.2945 0.9195
0.7055 0.6250 0.5805
0.3750 0.9555 0.0805
```

Values from the calculation:
As for the symmetry: I-42d (122). The calculation puts the calculated formation energy at -2145 meV/atom. The volume comes out at 113.52 Å³ per cell. Its magnetic moment is 0.00 μB per atom. The maximum piezoelectric response is 1.277 C/m2. The value obtained for the total energy is -4.057 eV/atom.

First-principles (GGA-PBE) data for a geometry-optimized NaHoF4 structure, as listed in the Materials Project database.

Geometry as POSCAR:
```
NaHoF4
1.0
-2.7330 2.7330 5.3816
2.7330 -2.7330 5.3816
2.7330 2.7330 -5.3816
Na Ho F
2 2 8
direct
0.0000 0.0000 0.0000
0.7500 0.2500 0.5000
0.5000 0.5000 0.0000
0.2500 0.7500 0.5000
0.6046 0.1250 0.9796
0.8750 0.3954 0.0204
0.3750 0.3954 0.5204
0.1454 0.6250 0.0204
0.3750 0.8546 0.9796
0.8750 0.8546 0.4796
0.1454 0.1250 0.5204
0.6046 0.6250 0.4796
```

Values from the calculation:
As for the symmetry: I4_1/amd (141). The calculation puts the calculated formation energy at -3993 meV/atom. The volume comes out at 160.79 Å³ per cell. The value obtained for the total energy is -5.946 eV/atom.